# Ba5Yb8Zn4O21, relaxed, DFT meta-GGA r2SCAN
data_Ba5Yb8Zn4O21
_cell_length_a 13.579
_cell_length_b 13.579
_cell_length_c 5.639
_cell_angle_alpha 90.00
_cell_angle_beta 90.00
_cell_angle_gamma 90.00
_space_group_name_H-M_alt 'I 4/m'
_space_group_IT_number 87
_space_group_name_Hall '-I 4'
loop_
_atom_site_label
_atom_site_type_symbol
_atom_site_fract_x
_atom_site_fract_y
_atom_site_fract_z
_atom_site_occupancy
Ba1 Ba 0.000 0.000 0.000 1
Ba2 Ba 0.037 0.641 0.500 1
Yb1 Yb 0.088 0.141 0.500 1
Yb2 Yb 0.169 0.752 0.000 1
Zn1 Zn 0.040 0.248 0.000 1
O1 O 0.000 0.000 0.500 1
O2 O 0.041 0.631 0.000 1
O3 O 0.049 0.823 0.251 1
O4 O 0.149 0.256 0.250 1
# **ΔH_f (0 K)**: -3.22 eV/atom
# **Crystal system**: tetragonal

---

# Ba2ZnO3, relaxed, DFT meta-GGA r2SCAN
data_Ba2ZnO3
_cell_length_a 5.865
_cell_length_b 11.458
_cell_length_c 12.669
_cell_angle_alpha 90.00
_cell_angle_beta 93.28
_cell_angle_gamma 90.00
_space_group_name_H-M_alt 'C 1 2/c 1'
_space_group_IT_number 15
_space_group_name_Hall '-C 2yc'
loop_
_atom_site_label
_atom_site_type_symbol
_atom_site_fract_x
_atom_site_fract_y
_atom_site_fract_z
_atom_site_occupancy
Ba1 Ba 0.233 0.205 0.348 1
Ba2 Ba 0.242 0.104 0.925 1
Zn1 Zn 0.229 0.498 0.836 1
O1 O 0.000 0.004 0.250 1
O2 O 0.000 0.407 0.250 1
O3 O 0.184 0.330 0.867 1
O4 O 0.229 0.098 0.536 1
# **ΔH_f (0 K)**: -2.40 eV/atom
# **Crystal system**: monoclinic

---

# Ba3Zr2O7, relaxed, DFT meta-GGA r2SCAN
data_Ba3Zr2O7
_cell_length_a 4.211
_cell_length_b 4.211
_cell_length_c 21.947
_cell_angle_alpha 90.00
_cell_angle_beta 90.00
_cell_angle_gamma 90.00
_space_group_name_H-M_alt 'I 4/m m m'
_space_group_IT_number 139
_space_group_name_Hall '-I 4 2'
loop_
_atom_site_label
_atom_site_type_symbol
_atom_site_fract_x
_atom_site_fract_y
_atom_site_fract_z
_atom_site_occupancy
Ba1 Ba 0.000 0.000 0.000 1
Ba2 Ba 0.000 0.000 0.186 1
Zr1 Zr 0.000 0.000 0.403 1
O1 O 0.000 0.000 0.308 1
O2 O 0.000 0.000 0.500 1
O3 O 0.000 0.500 0.096 1
# **ΔH_f (0 K)**: -3.46 eV/atom
# **Crystal system**: tetragonal

---

# BaP2Os2, relaxed, DFT meta-GGA r2SCAN
data_BaP2Os2
_cell_length_a 4.059
_cell_length_b 4.059
_cell_length_c 12.327
_cell_angle_alpha 90.00
_cell_angle_beta 90.00
_cell_angle_gamma 90.00
_space_group_name_H-M_alt 'I 4/m m m'
_space_group_IT_number 139
_space_group_name_Hall '-I 4 2'
loop_
_atom_site_label
_atom_site_type_symbol
_atom_site_fract_x
_atom_site_fract_y
_atom_site_fract_z
_atom_site_occupancy
Ba1 Ba 0.000 0.000 0.000 1
P1 P 0.000 0.000 0.343 1
Os1 Os 0.000 0.500 0.250 1
# **ΔH_f (0 K)**: -0.78 eV/atom
# **Crystal system**: tetragonal

---

# BaSb12Os4, relaxed, DFT meta-GGA r2SCAN
data_BaSb12Os4
_cell_length_a 9.405
_cell_length_b 9.405
_cell_length_c 9.405
_cell_angle_alpha 90.00
_cell_angle_beta 90.00
_cell_angle_gamma 90.00
_space_group_name_H-M_alt 'I m -3'
_space_group_IT_number 204
_space_group_name_Hall '-I 2 2 3'
loop_
_atom_site_label
_atom_site_type_symbol
_atom_site_fract_x
_atom_site_fract_y
_atom_site_fract_z
_atom_site_occupancy
Ba1 Ba 0.000 0.000 0.000 1
Sb1 Sb 0.000 0.343 0.159 1
Os1 Os 0.250 0.250 0.250 1
# **ΔH_f (0 K)**: -0.24 eV/atom
# **Crystal system**: cubic

---

# BaP10, relaxed, DFT meta-GGA r2SCAN
data_BaP10
_cell_length_a 6.480
_cell_length_b 12.908
_cell_length_c 12.125
_cell_angle_alpha 90.00
_cell_angle_beta 90.00
_cell_angle_gamma 90.00
_space_group_name_H-M_alt 'C m c 21'
_space_group_IT_number 36
_space_group_name_Hall 'C 2c -2'
loop_
_atom_site_label
_atom_site_type_symbol
_atom_site_fract_x
_atom_site_fract_y
_atom_site_fract_z
_atom_site_occupancy
Ba1 Ba 0.000 0.187 0.000 1
P1 P 0.000 0.067 0.553 1
P2 P 0.000 0.091 0.275 1
P3 P 0.000 0.187 0.424 1
P4 P 0.000 0.390 0.600 1
P5 P 0.000 0.409 0.776 1
P6 P 0.000 0.448 0.060 1
P7 P 0.245 0.376 0.160 1
P8 P 0.250 0.022 0.809 1
# **ΔH_f (0 K)**: -0.31 eV/atom
# **Crystal system**: orthorhombic

---

# Ba5P4, relaxed, DFT meta-GGA r2SCAN
data_Ba5P4
_cell_length_a 8.430
_cell_length_b 16.723
_cell_length_c 8.516
_cell_angle_alpha 90.00
_cell_angle_beta 90.00
_cell_angle_gamma 90.00
_space_group_name_H-M_alt 'P n m a'
_space_group_IT_number 62
_space_group_name_Hall '-P 2ac 2n'
loop_
_atom_site_label
_atom_site_type_symbol
_atom_site_fract_x
_atom_site_fract_y
_atom_site_fract_z
_atom_site_occupancy
Ba1 Ba 0.072 0.102 0.167 1
Ba2 Ba 0.092 0.603 0.342 1
Ba3 Ba 0.246 0.250 0.504 1
P1 P 0.146 0.250 0.912 1
P2 P 0.160 0.750 0.601 1
P3 P 0.246 0.053 0.507 1
# **ΔH_f (0 K)**: -1.17 eV/atom
# **Crystal system**: orthorhombic

---

# Ba4P3, relaxed, DFT meta-GGA r2SCAN
data_Ba4P3
_cell_length_a 12.687
_cell_length_b 13.436
_cell_length_c 11.385
_cell_angle_alpha 90.00
_cell_angle_beta 90.00
_cell_angle_gamma 90.00
_space_group_name_H-M_alt 'P b a m'
_space_group_IT_number 55
_space_group_name_Hall '-P 2 2ab'
loop_
_atom_site_label
_atom_site_type_symbol
_atom_site_fract_x
_atom_site_fract_y
_atom_site_fract_z
_atom_site_occupancy
Ba1 Ba 0.000 0.000 0.181 1
Ba2 Ba 0.098 0.264 0.283 1
Ba3 Ba 0.107 0.706 0.000 1
Ba4 Ba 0.121 0.873 0.500 1
Ba5 Ba 0.170 0.568 0.319 1
Ba6 Ba 0.225 0.418 0.000 1
P1 P 0.000 0.500 0.101 1
P2 P 0.033 0.422 0.500 1
P3 P 0.138 0.113 0.500 1
P4 P 0.139 0.136 0.000 1
P5 P 0.163 0.821 0.236 1
# **ΔH_f (0 K)**: -1.17 eV/atom
# **Crystal system**: orthorhombic

---

# Ba5P4, relaxed, DFT meta-GGA r2SCAN
data_Ba5P4
_cell_length_a 16.729
_cell_length_b 8.431
_cell_length_c 8.511
_cell_angle_alpha 90.00
_cell_angle_beta 90.00
_cell_angle_gamma 90.00
_space_group_name_H-M_alt 'C m c e'
_space_group_IT_number 64
_space_group_name_Hall '-C 2ac 2'
loop_
_atom_site_label
_atom_site_type_symbol
_atom_site_fract_x
_atom_site_fract_y
_atom_site_fract_z
_atom_site_occupancy
Ba1 Ba 0.000 0.000 0.000 1
Ba2 Ba 0.147 0.168 0.337 1
P1 P 0.000 0.097 0.595 1
P2 P 0.197 0.000 0.000 1
# **ΔH_f (0 K)**: -1.17 eV/atom
# **Crystal system**: orthorhombic

---

# BaP2Pd2, relaxed, DFT meta-GGA r2SCAN
data_BaP2Pd2
_cell_length_a 4.281
_cell_length_b 4.281
_cell_length_c 5.752
_cell_angle_alpha 90.00
_cell_angle_beta 90.00
_cell_angle_gamma 90.00
_space_group_name_H-M_alt 'P 4/m m m'
_space_group_IT_number 123
_space_group_name_Hall '-P 4 2'
loop_
_atom_site_label
_atom_site_type_symbol
_atom_site_fract_x
_atom_site_fract_y
_atom_site_fract_z
_atom_site_occupancy
Ba1 Ba 0.000 0.000 0.000 1
P1 P 0.500 0.500 0.295 1
Pd1 Pd 0.000 0.500 0.500 1
# **ΔH_f (0 K)**: -0.86 eV/atom
# **Crystal system**: tetragonal

---

# BaP4Pd2, relaxed, DFT meta-GGA r2SCAN
data_BaP4Pd2
_cell_length_a 6.844
_cell_length_b 6.844
_cell_length_c 5.974
_cell_angle_alpha 90.00
_cell_angle_beta 90.00
_cell_angle_gamma 90.00
_space_group_name_H-M_alt 'I 4/m m m'
_space_group_IT_number 139
_space_group_name_Hall '-I 4 2'
loop_
_atom_site_label
_atom_site_type_symbol
_atom_site_fract_x
_atom_site_fract_y
_atom_site_fract_z
_atom_site_occupancy
Ba1 Ba 0.000 0.000 0.000 1
P1 P 0.000 0.226 0.500 1
Pd1 Pd 0.000 0.500 0.250 1
# **ΔH_f (0 K)**: -0.72 eV/atom
# **Crystal system**: tetragonal

---

# BaPPt, relaxed, DFT meta-GGA r2SCAN
data_BaPPt
_cell_length_a 6.587
_cell_length_b 6.587
_cell_length_c 6.587
_cell_angle_alpha 90.00
_cell_angle_beta 90.00
_cell_angle_gamma 90.00
_space_group_name_H-M_alt 'P 21 3'
_space_group_IT_number 198
_space_group_name_Hall 'P 2ac 2ab 3'
loop_
_atom_site_label
_atom_site_type_symbol
_atom_site_fract_x
_atom_site_fract_y
_atom_site_fract_z
_atom_site_occupancy
Ba1 Ba 0.139 0.139 0.139 1
P1 P 0.085 0.585 0.915 1
Pt1 Pt 0.151 0.349 0.651 1
# **ΔH_f (0 K)**: -1.20 eV/atom
# **Crystal system**: cubic

---

# BaPSe3, relaxed, DFT meta-GGA r2SCAN
data_BaPSe3
_cell_length_a 7.110
_cell_length_b 8.008
_cell_length_c 12.537
_cell_angle_alpha 90.00
_cell_angle_beta 123.60
_cell_angle_gamma 90.00
_space_group_name_H-M_alt 'P 1 21/c 1'
_space_group_IT_number 14
_space_group_name_Hall '-P 2ybc'
loop_
_atom_site_label
_atom_site_type_symbol
_atom_site_fract_x
_atom_site_fract_y
_atom_site_fract_z
_atom_site_occupancy
Ba1 Ba 0.208 0.094 0.249 1
P1 P 0.105 0.609 0.060 1
Se1 Se 0.139 0.206 0.961 1
Se2 Se 0.283 0.702 0.974 1
Se3 Se 0.323 0.515 0.255 1
# **ΔH_f (0 K)**: -1.18 eV/atom
# **Crystal system**: monoclinic

---

What did we get for raw total energy? Answer: -1416.04, -753.83, -416.55, -308.74, -1101.94, -479.78, -716.27, -1129.40, -716.28, -94.71, -226.99, -362.34, -337.36 eV per cell, in the order shown.
What did we get for total moment? Answer: 0.00, 0.00, 0.00, 0.00, 0.00, 0.00, 0.00, 0.00, 0.00, 0.00, 0.00, 0.00, 0.00 μB/f.u., in the order shown.